(1)
This record from Materials Project describes a geometry-optimized TiPbO3 structure. The functional is PBE-GGA.

Results
Energy with MP2020 corrections (eV/atom): -8.0210
Piezoelectric modulus e_max (C/m²): 3.63
Energy of formation from the pure elements (eV/atom): -2.731

```
TiPbO3
1.0
3.861 0.000 0.000
0.000 3.861 0.000
0.000 0.000 4.627
Ti Pb O
1 1 3
direct
0.000 0.000 0.000
0.500 0.500 0.448
0.000 0.000 0.622
0.000 0.500 0.106
0.500 0.000 0.106
```

=====

(2)
This record from Materials Project describes a geometry-optimized Na3BiO4 structure. The functional is PBE-GGA.

Results
Energy with MP2020 corrections (eV/atom): -5.1460
Energy of formation from the pure elements (eV/atom): -1.690

```
Na3BiO4
1.0
3.415 -4.733 0.000
3.415 4.733 0.000
0.000 0.000 3.354
Na Bi O
3 1 4
direct
0.000 0.000 0.000
0.000 0.500 0.500
0.500 0.000 0.500
0.500 0.500 0.000
0.278 0.278 0.500
0.281 0.719 0.000
0.719 0.281 0.000
0.722 0.722 0.500
```

=====

(3)
This record from Materials Project describes a geometry-optimized BaNaFe4As4 structure. The functional is PBE-GGA.

Results
Energy of formation from the pure elements (eV/atom): -0.387

```
BaNaFe4As4
1.0
2.729 -6.413 0.000
2.729 6.413 0.000
0.000 0.000 5.463
Ba Na Fe As
1 1 4 4
direct
0.000 0.000 0.000
0.500 0.500 0.500
0.000 0.500 0.250
0.000 0.500 0.750
0.500 0.000 0.250
0.500 0.000 0.750
0.150 0.850 0.500
0.350 0.650 0.000
0.650 0.350 0.000
0.850 0.150 0.500
```